[1]
First-principles (PBE) data for a geometry-optimized Mg14NbCdO16 structure, as listed in Materials Project.

Properties
Crystal system = tetragonal
Energy above the most stable polymorph in this dataset = 0 meV/atom

```
32
Lattice="8.6863 0.0000 0.0000 0.0000 8.6863 0.0000 0.0000 0.0000 4.3492" Properties=species:S:1:pos:R:3 pbc="T T T"
O 4.3431 0.0000 2.1746
Mg 2.1763 2.1763 0.0000
Mg 6.5526 4.3431 2.1746
O 6.6485 4.3431 0.0000
O 6.5184 6.5184 2.1746
Cd 4.3431 4.3431 0.0000
Mg 2.1337 4.3431 2.1746
O 4.3431 6.6485 0.0000
O 2.1679 6.5184 2.1746
O 0.0000 0.0000 2.1746
Mg 6.5100 2.1763 0.0000
Mg 2.1763 6.5100 0.0000
Mg 0.0000 6.4649 2.1746
Mg 0.0000 4.3431 0.0000
O 2.1679 2.1679 2.1746
O 2.2427 0.0000 0.0000
Mg 6.5100 6.5100 0.0000
Mg 4.3431 0.0000 0.0000
O 2.0378 4.3431 0.0000
Mg 4.3431 6.5526 2.1746
O 4.3431 4.3431 2.1746
Mg 6.4649 0.0000 2.1746
Mg 4.3431 2.1337 2.1746
O 0.0000 2.2427 0.0000
O 6.4435 0.0000 0.0000
Nb 0.0000 0.0000 0.0000
O 4.3431 2.0378 0.0000
O 0.0000 4.3431 2.1746
Mg 0.0000 2.2214 2.1746
Mg 2.2214 0.0000 2.1746
O 6.5184 2.1679 2.1746
O 0.0000 6.4435 0.0000
```

***

[2]
First-principles (PBE) data for a geometry-optimized MgTiZnBi2O6 structure, as listed in Materials Project.

Properties
Crystal system = tetragonal
Energy above the most stable polymorph in this dataset = 183 meV/atom

```
11
Lattice="-1.3040 2.1649 -2.8188 0.2048 -2.9517 -2.3618 -10.6063 -2.8875 2.6891" Properties=species:S:1:pos:R:3 pbc="T T T"
O -3.4009 0.3341 -0.7124
O -7.3710 -2.2505 -0.8608
O -2.6464 -2.2242 -0.4839
Zn -2.7493 -0.9923 -2.0326
O -0.7990 -0.4613 -2.5270
Mg -3.3322 -0.9072 0.8449
Bi -6.3399 -1.7260 1.6074
Ti -9.1255 -2.7282 -0.4159
O -8.9620 -3.9436 1.1173
O -9.7164 -1.3853 0.8888
Bi -10.5380 -2.8689 2.6718
```

***

[3]
First-principles (PBE) data for a geometry-optimized ZrUN2 structure, as listed in Materials Project.

Properties
Crystal system = tetragonal

```
8
Lattice="-2.3685 2.3685 4.7315 2.3685 -2.3685 4.7315 2.3685 2.3685 -4.7315" Properties=species:S:1:pos:R:3 pbc="T T T"
U 2.3685 0.0000 2.3658
N 0.0000 2.3685 0.0287
U 0.0000 0.0000 4.7315
N 0.0000 2.3685 4.7028
Zr 0.0000 0.0000 0.0000
Zr 0.0000 2.3685 2.3658
N 0.0000 0.0000 7.1260
N 0.0000 0.0000 2.3370
```

***

For the records above, the corresponding DFT formation energy values read -2.774, -1.964, -1.713 eV per atom.
For the records above, the corresponding energy with MP2020 corrections values read -6.292, -6.348, -10.841 eV/atom.